An optimized crystal structure of Na2Zn2Se3. Source: Materials Project, functional meta-GGA r2SCAN.

Cell lengths 10.2354, 10.2354, 6.9979 Å; angles 70.19, 70.19, 83.65 degrees
Last column: nearest neighbours and their distance in Å.
Sites, in units of the cell vectors:
Zn (0.0810, 0.5491, 0.7614)  4 Se 2.43-2.54
Na (0.1927, 0.0226, 0.3599)  4 Se 2.84-3.01
Na (0.8073, 0.9774, 0.6401)  4 Se 2.84-3.01
Zn (0.9190, 0.4509, 0.2386)  4 Se 2.43-2.54
Zn (0.3635, 0.2077, 0.7970)  4 Se 2.44-2.52
Se (0.4177, 0.8513, 0.4492)  3 Zn 2.48-2.54
Na (0.9774, 0.8073, 0.1401)  4 Se 2.84-3.01
Se (0.0070, 0.7710, 0.5572)  2 Zn 2.43-2.44
Zn (0.7923, 0.6365, 0.7030)  4 Se 2.44-2.52
Se (0.8513, 0.4177, 0.9492)  3 Zn 2.48-2.54
Se (0.2737, 0.4228, 0.5705)  3 Zn 2.48-2.52
Se (0.1487, 0.5823, 0.0508)  3 Zn 2.48-2.54
Se (0.9930, 0.2290, 0.4428)  2 Zn 2.43-2.44
Se (0.7263, 0.5772, 0.4295)  3 Zn 2.48-2.52
Zn (0.5491, 0.0810, 0.2614)  4 Se 2.43-2.54
Se (0.5772, 0.7263, 0.9295)  3 Zn 2.48-2.52
Na (0.4326, 0.5674, 0.7500)  6 Se 2.98-3.10
Na (0.2823, 0.7177, 0.2500)  6 Se 2.96-3.08
Se (0.5823, 0.1487, 0.5508)  3 Zn 2.48-2.54
Se (0.7710, 0.0070, 0.0572)  2 Zn 2.43-2.44
Na (0.7177, 0.2823, 0.7500)  6 Se 2.96-3.08
Zn (0.2077, 0.3635, 0.2970)  4 Se 2.44-2.52
Zn (0.6365, 0.7923, 0.2030)  4 Se 2.44-2.52
Zn (0.4509, 0.9190, 0.7386)  4 Se 2.43-2.54
Se (0.4228, 0.2737, 0.0705)  3 Zn 2.48-2.52
Se (0.2290, 0.9930, 0.9428)  2 Zn 2.43-2.44
Na (0.0226, 0.1927, 0.8599)  4 Se 2.84-3.01
Na (0.5674, 0.4326, 0.2500)  6 Se 2.98-3.10

Computed properties:
**Space-group type**: C2/c, No. 15
**E_form**: -7.3 eV per formula unit